(1)
VASP calculation (GGA-PBE) on DySbO4 after structural relaxation.

Calculated values
E_form, eV per atom: -2.868
Theoretical density, g cm⁻³: 7.5
DFT total energy, eV per atom: -7.165
Space group: P-1

Cell: 5.4037 7.6753 7.5711 Å, 81.03 90.47 91.95°
Closest atoms and distances in Å follow each position.
Positions (direct):
Dy 0.2623 0.1364 0.6148  5 O 2.26-2.35
Dy 0.7377 0.8636 0.3852  5 O 2.26-2.35
Dy 0.2132 0.1582 0.1087  5 O 2.20-2.39
Dy 0.7868 0.8418 0.8913  5 O 2.20-2.39
Sb 0.2399 0.6625 0.1958  6 O 1.95-2.04
Sb 0.7601 0.3375 0.8042  6 O 1.95-2.04
Sb 0.7272 0.3341 0.3071  6 O 1.98-2.05
Sb 0.2728 0.6659 0.6929  6 O 1.98-2.05
O 0.0870 0.4359 0.6894  2 Sb 2.00-2.04
O 0.9130 0.5641 0.3106  2 Sb 2.00-2.04
O 0.6115 0.3228 0.5592  2 Sb 2.00-2.03
O 0.3885 0.6772 0.4408  2 Sb 2.00-2.03
O 0.8724 0.3326 0.0600  2 Sb 2.02-2.04
O 0.1276 0.6674 0.9400  2 Sb 2.02-2.04
O 0.3992 0.4290 0.2002  2 Sb 2.01-2.05
O 0.6008 0.5710 0.7998  2 Sb 2.01-2.05
O 0.0424 0.8848 0.1733  1 Sb 2.03, 1 Dy 2.25
O 0.9576 0.1152 0.8267  1 Sb 2.03, 1 Dy 2.25
O 0.5171 0.1097 0.3174  1 Sb 2.02, 1 Dy 2.26
O 0.4829 0.8903 0.6826  1 Sb 2.02, 1 Dy 2.26
O 0.4642 0.1930 0.8774  1 Sb 1.95
O 0.5358 0.8070 0.1226  1 Sb 1.95
O 0.9973 0.1702 0.3803  1 Sb 1.98
O 0.0027 0.8298 0.6197  1 Sb 1.98

(2)
VASP calculation (GGA-PBE) on DySbO4 after structural relaxation.

Calculated values
E_form, eV per atom: -2.869
Theoretical density, g cm⁻³: 7.5
DFT total energy, eV per atom: -7.165
Space group: P2_1/c

Cell: 5.3974 7.5713 7.6891 Å, 81.11 90.00 90.00°
Closest atoms and distances in Å follow each position.
Positions (direct):
Dy 0.7248 0.8884 0.3532  5 O 2.23-2.37
Dy 0.2752 0.1116 0.6468  5 O 2.23-2.37
Dy 0.7752 0.3884 0.3532  5 O 2.23-2.37
Dy 0.2248 0.6116 0.6468  5 O 2.23-2.37
Sb 0.7670 0.3057 0.8375  6 O 1.97-2.04
Sb 0.2330 0.6943 0.1625  6 O 1.97-2.04
Sb 0.2670 0.1943 0.1625  6 O 1.97-2.04
Sb 0.7330 0.8057 0.8375  6 O 1.97-2.04
O 0.9060 0.8064 0.0684  2 Sb 2.01-2.04
O 0.0940 0.1936 0.9316  2 Sb 2.01-2.04
O 0.3812 0.9397 0.1726  2 Sb 2.01-2.04
O 0.6188 0.0603 0.8274  2 Sb 2.01-2.04
O 0.1188 0.4397 0.1726  2 Sb 2.01-2.04
O 0.8812 0.5603 0.8274  2 Sb 2.01-2.04
O 0.5940 0.3064 0.0684  2 Sb 2.01-2.04
O 0.4060 0.6936 0.9316  2 Sb 2.01-2.04
O 0.9730 0.3237 0.6140  1 Sb 2.03, 2 Dy 2.26-2.28
O 0.0270 0.6763 0.3860  1 Sb 2.03, 2 Dy 2.26-2.28
O 0.4730 0.1763 0.3860  1 Sb 2.03, 2 Dy 2.26-2.28
O 0.5270 0.8237 0.6140  1 Sb 2.03, 2 Dy 2.26-2.28
O 0.5149 0.6202 0.3194  1 Sb 1.97
O 0.4851 0.3798 0.6806  1 Sb 1.97
O 0.9851 0.1202 0.3194  1 Sb 1.97
O 0.0149 0.8798 0.6806  1 Sb 1.97

(3)
VASP calculation (GGA-PBE) on Sr2DySbO6 after structural relaxation.

Calculated values
E_form, eV per atom: -3.112
Theoretical density, g cm⁻³: 6.4
M_tot, μB per formula unit: 0.00
DFT total energy, eV per atom: -6.880
Space group: P2_1/c

Cell: 5.9236 5.8682 10.1698 Å, 54.98 90.00 90.00°
Closest atoms and distances in Å follow each position.
Positions (direct):
Sr 0.4670 0.2418 0.2505  6 O 2.55-2.83
Sr 0.0330 0.2418 0.7505  6 O 2.55-2.83
Sr 0.5330 0.7582 0.7495  6 O 2.55-2.83
Sr 0.9670 0.7582 0.2495  6 O 2.55-2.83
Dy 0.5000 0.5000 0.5000  6 O 2.25
Dy 0.0000 0.5000 0.0000  6 O 2.25
Sb 0.0000 0.0000 0.5000  6 O 2.02
Sb 0.5000 0.0000 0.0000  6 O 2.02
O 0.4790 0.3123 0.7643  1 Sb 2.02, 1 Dy 2.25
O 0.2263 0.1557 0.0417  1 Sb 2.02, 1 Dy 2.25
O 0.2995 0.7671 0.9605  1 Sb 2.02, 1 Dy 2.25
O 0.7263 0.8443 0.4583  1 Sb 2.02, 1 Dy 2.25
O 0.7005 0.2329 0.0395  1 Sb 2.02, 1 Dy 2.25
O 0.5210 0.6877 0.2357  1 Sb 2.02, 1 Dy 2.25
O 0.2005 0.7671 0.4605  1 Sb 2.02, 1 Dy 2.25
O 0.2737 0.1557 0.5417  1 Sb 2.02, 1 Dy 2.25
O 0.7737 0.8443 0.9583  1 Sb 2.02, 1 Dy 2.25
O 0.9790 0.6877 0.7357  1 Sb 2.02, 1 Dy 2.25
O 0.0210 0.3123 0.2643  1 Sb 2.02, 1 Dy 2.25
O 0.7995 0.2329 0.5395  1 Sb 2.02, 1 Dy 2.25

(4)
VASP calculation (GGA-PBE) on Sr2DySbO6 after structural relaxation.

Calculated values
E_form, eV per atom: -3.062
Theoretical density, g cm⁻³: 6.2
M_tot, μB per formula unit: 0.00
DFT total energy, eV per atom: -6.830
Space group: Fm-3m

Cell: 5.9345 5.9345 5.9345 Å, 60.00 60.00 60.00°
Closest atoms and distances in Å follow each position.
Positions (direct):
Sr 0.2500 0.2500 0.2500  12 O 2.97
Sr 0.7500 0.7500 0.7500  12 O 2.97
Dy 0.0000 0.0000 0.0000  6 O 2.20
Sb 0.5000 0.5000 0.5000  6 O 1.99
O 0.7376 0.2624 0.2624  1 Sb 1.99, 1 Dy 2.20
O 0.2624 0.7376 0.7376  1 Sb 1.99, 1 Dy 2.20
O 0.7376 0.2624 0.7376  1 Sb 1.99, 1 Dy 2.20
O 0.2624 0.7376 0.2624  1 Sb 1.99, 1 Dy 2.20
O 0.7376 0.7376 0.2624  1 Sb 1.99, 1 Dy 2.20
O 0.2624 0.2624 0.7376  1 Sb 1.99, 1 Dy 2.20

(5)
VASP calculation (GGA-PBE) on Dy2Se3O12 after structural relaxation.

Calculated values
E_form, eV per atom: -2.085
Theoretical density, g cm⁻³: 3.9
E above lowest polymorph, meV/atom: 0.0
DFT total energy, eV per atom: -6.252
Space group: Pbcn

Cell: 9.6962 9.7858 13.4765 Å, 90.00 90.00 90.00°
Closest atoms and distances in Å follow each position.
Positions (direct):
Dy 0.2498 0.9624 0.1178  6 O 2.23-2.27
Dy 0.7502 0.4624 0.1178  6 O 2.23-2.27
Dy 0.2502 0.4624 0.3822  6 O 2.23-2.27
Dy 0.7498 0.9624 0.3822  6 O 2.23-2.27
Dy 0.2502 0.0376 0.6178  6 O 2.23-2.27
Dy 0.7498 0.5376 0.6178  6 O 2.23-2.27
Dy 0.2498 0.5376 0.8822  6 O 2.23-2.27
Dy 0.7502 0.0376 0.8822  6 O 2.23-2.27
Se 0.0351 0.2500 0.0000  4 O 1.66
Se 0.9649 0.7500 0.0000  4 O 1.66
Se 0.3940 0.6115 0.1467  4 O 1.66-1.67
Se 0.6060 0.1115 0.1467  4 O 1.66-1.67
Se 0.1060 0.1115 0.3533  4 O 1.66-1.67
Se 0.8940 0.6115 0.3533  4 O 1.66-1.67
Se 0.4649 0.7500 0.5000  4 O 1.66
Se 0.5351 0.2500 0.5000  4 O 1.66
Se 0.1060 0.3885 0.6467  4 O 1.66-1.67
Se 0.8940 0.8885 0.6467  4 O 1.66-1.67
Se 0.3940 0.8885 0.8533  4 O 1.66-1.67
Se 0.6060 0.3885 0.8533  4 O 1.66-1.67
O 0.6670 0.0743 0.0347  1 Se 1.66
O 0.3330 0.5743 0.0347  1 Se 1.66
O 0.8652 0.6452 0.0646  1 Se 1.66
O 0.1348 0.1452 0.0646  1 Se 1.66
O 0.0619 0.8362 0.0803  1 Se 1.66
O 0.9381 0.3362 0.0803  1 Se 1.66
O 0.4357 0.0945 0.1485  1 Se 1.66
O 0.5643 0.5945 0.1485  1 Se 1.66
O 0.3562 0.7724 0.1764  1 Se 1.67
O 0.6438 0.2724 0.1764  1 Se 1.67
O 0.3227 0.5038 0.2270  1 Se 1.66
O 0.6773 0.0038 0.2270  1 Se 1.66
O 0.1773 0.0038 0.2730  1 Se 1.66
O 0.8227 0.5038 0.2730  1 Se 1.66
O 0.8562 0.7724 0.3236  1 Se 1.67
O 0.1438 0.2724 0.3236  1 Se 1.67
O 0.0643 0.5945 0.3515  1 Se 1.66
O 0.9357 0.0945 0.3515  1 Se 1.66
O 0.4381 0.3362 0.4197  1 Se 1.66
O 0.5619 0.8362 0.4197  1 Se 1.66
O 0.3651 0.6452 0.4354  1 Se 1.66
O 0.6348 0.1452 0.4354  1 Se 1.66
O 0.1670 0.0743 0.4653  1 Se 1.66
O 0.8330 0.5743 0.4653  1 Se 1.66
O 0.1670 0.4257 0.5347  1 Se 1.66
O 0.8330 0.9257 0.5347  1 Se 1.66
O 0.6348 0.3548 0.5646  1 Se 1.66
O 0.3651 0.8548 0.5646  1 Se 1.66
O 0.4381 0.1638 0.5803  1 Se 1.66
O 0.5619 0.6638 0.5803  1 Se 1.66
O 0.0643 0.9055 0.6485  1 Se 1.66
O 0.9357 0.4055 0.6485  1 Se 1.66
O 0.1438 0.2276 0.6764  1 Se 1.67
O 0.8562 0.7276 0.6764  1 Se 1.67
O 0.1773 0.4962 0.7270  1 Se 1.66
O 0.8227 0.9962 0.7270  1 Se 1.66
O 0.3227 0.9962 0.7730  1 Se 1.66
O 0.6773 0.4962 0.7730  1 Se 1.66
O 0.3562 0.7276 0.8236  1 Se 1.67
O 0.6438 0.2276 0.8236  1 Se 1.67
O 0.4357 0.4055 0.8515  1 Se 1.66
O 0.5643 0.9055 0.8515  1 Se 1.66
O 0.0619 0.6638 0.9197  1 Se 1.66
O 0.9381 0.1638 0.9197  1 Se 1.66
O 0.1348 0.3548 0.9354  1 Se 1.66
O 0.8652 0.8548 0.9354  1 Se 1.66
O 0.3330 0.9257 0.9653  1 Se 1.66
O 0.6670 0.4257 0.9653  1 Se 1.66

(6)
VASP calculation (GGA-PBE) on Dy2SeO2 after structural relaxation.

Calculated values
E_form, eV per atom: -3.357
Theoretical density, g cm⁻³: 8.1
M_tot, μB per formula unit: 0.00
DFT total energy, eV per atom: -7.603
Space group: I4/mmm

Cell: 6.6591 6.6591 6.6591 Å, 146.51 146.51 48.10°
Closest atoms and distances in Å follow each position.
Positions (direct):
Dy 0.3434 0.3434 0.0000  4 O 2.23
Dy 0.6566 0.6566 0.0000  4 O 2.23
Se 0.0000 0.0000 0.0000  8 Dy 3.32, 8 O 3.60
O 0.7500 0.2500 0.5000  4 Dy 2.23
O 0.2500 0.7500 0.5000  4 Dy 2.23

(7)
VASP calculation (GGA-PBE) on Dy2Se3O12 after structural relaxation.

Calculated values
E_form, eV per atom: -2.006
Theoretical density, g cm⁻³: 5.6
E above lowest polymorph, meV/atom: 79.2
DFT total energy, eV per atom: -6.173
Space group: C2/c

Cell: 6.8323 6.8323 11.2938 Å, 80.63 80.63 117.18°
Closest atoms and distances in Å follow each position.
Positions (direct):
Dy 0.7068 0.9571 0.5944  7 O 2.27-2.52
Dy 0.9571 0.7068 0.0944  7 O 2.27-2.52
Dy 0.0429 0.2932 0.9056  7 O 2.27-2.52
Dy 0.2932 0.0429 0.4056  7 O 2.27-2.52
Se 0.5280 0.7873 0.9247  4 O 1.66-1.71
Se 0.7873 0.5280 0.4247  4 O 1.66-1.71
Se 0.1183 0.8817 0.7500  4 O 1.66-1.70
Se 0.8817 0.1183 0.2500  4 O 1.66-1.70
Se 0.2127 0.4720 0.5753  4 O 1.66-1.71
Se 0.4720 0.2127 0.0753  4 O 1.66-1.71
O 0.2107 0.1269 0.7885  1 Se 1.66
O 0.5841 0.9730 0.7902  1 Se 1.67
O 0.0782 0.6818 0.8773  1 Se 1.70
O 0.7875 0.8885 0.9575  1 Se 1.71
O 0.1269 0.2107 0.2885  1 Se 1.66
O 0.4667 0.5756 0.6067  1 Se 1.67
O 0.7661 0.3370 0.5444  1 Se 1.66
O 0.6630 0.2339 0.9556  1 Se 1.66
O 0.4244 0.5333 0.8933  1 Se 1.67
O 0.9730 0.5841 0.2902  1 Se 1.67
O 0.1115 0.2125 0.5425  1 Se 1.71
O 0.3182 0.9218 0.6227  1 Se 1.70
O 0.6818 0.0782 0.3773  1 Se 1.70
O 0.8885 0.7875 0.4575  1 Se 1.71
O 0.0270 0.4159 0.7098  1 Se 1.67
O 0.5756 0.4667 0.1067  1 Se 1.67
O 0.3370 0.7661 0.0444  1 Se 1.66
O 0.2339 0.6630 0.4556  1 Se 1.66
O 0.5333 0.4244 0.3933  1 Se 1.67
O 0.8731 0.7893 0.7115  1 Se 1.66
O 0.2125 0.1115 0.0425  1 Se 1.71
O 0.9218 0.3182 0.1227  1 Se 1.70
O 0.4159 0.0270 0.2098  1 Se 1.67
O 0.7893 0.8731 0.2115  1 Se 1.66

Repeat the sixth record exactly.
VASP calculation (GGA-PBE) on Dy2SeO2 after structural relaxation.

Calculated values
E_form, eV per atom: -3.357
Theoretical density, g cm⁻³: 8.1
M_tot, μB per formula unit: 0.00
DFT total energy, eV per atom: -7.603
Space group: I4/mmm

Cell: 6.6591 6.6591 6.6591 Å, 146.51 146.51 48.10°
Closest atoms and distances in Å follow each position.
Positions (direct):
Dy 0.3434 0.3434 0.0000  4 O 2.23
Dy 0.6566 0.6566 0.0000  4 O 2.23
Se 0.0000 0.0000 0.0000  8 Dy 3.32, 8 O 3.60
O 0.7500 0.2500 0.5000  4 Dy 2.23
O 0.2500 0.7500 0.5000  4 Dy 2.23

Which formula does entry 2 have? DySbO4

Please write out number 3 again, unchanged.
VASP calculation (GGA-PBE) on Sr2DySbO6 after structural relaxation.

Calculated values
E_form, eV per atom: -3.112
Theoretical density, g cm⁻³: 6.4
M_tot, μB per formula unit: 0.00
DFT total energy, eV per atom: -6.880
Space group: P2_1/c

Cell: 5.9236 5.8682 10.1698 Å, 54.98 90.00 90.00°
Closest atoms and distances in Å follow each position.
Positions (direct):
Sr 0.4670 0.2418 0.2505  6 O 2.55-2.83
Sr 0.0330 0.2418 0.7505  6 O 2.55-2.83
Sr 0.5330 0.7582 0.7495  6 O 2.55-2.83
Sr 0.9670 0.7582 0.2495  6 O 2.55-2.83
Dy 0.5000 0.5000 0.5000  6 O 2.25
Dy 0.0000 0.5000 0.0000  6 O 2.25
Sb 0.0000 0.0000 0.5000  6 O 2.02
Sb 0.5000 0.0000 0.0000  6 O 2.02
O 0.4790 0.3123 0.7643  1 Sb 2.02, 1 Dy 2.25
O 0.2263 0.1557 0.0417  1 Sb 2.02, 1 Dy 2.25
O 0.2995 0.7671 0.9605  1 Sb 2.02, 1 Dy 2.25
O 0.7263 0.8443 0.4583  1 Sb 2.02, 1 Dy 2.25
O 0.7005 0.2329 0.0395  1 Sb 2.02, 1 Dy 2.25
O 0.5210 0.6877 0.2357  1 Sb 2.02, 1 Dy 2.25
O 0.2005 0.7671 0.4605  1 Sb 2.02, 1 Dy 2.25
O 0.2737 0.1557 0.5417  1 Sb 2.02, 1 Dy 2.25
O 0.7737 0.8443 0.9583  1 Sb 2.02, 1 Dy 2.25
O 0.9790 0.6877 0.7357  1 Sb 2.02, 1 Dy 2.25
O 0.0210 0.3123 0.2643  1 Sb 2.02, 1 Dy 2.25
O 0.7995 0.2329 0.5395  1 Sb 2.02, 1 Dy 2.25